Al5HO8: relaxed, PBE-GGA.

The structure belongs to space group P6_3mc (No. 186); the cell edges are 5.7502, 5.7502 and 8.7217 Å and the angles 90.00°, 90.00° and 120.00°. The asymmetric unit holds Al at (0.1739, 0.3479, 0.0000), Al at (0.3333, 0.6667, 0.2955), Al at (0.3333, 0.6667, 0.6643), H at (0.0000, 0.0000, 0.4854), O at (0.0000, 0.0000, 0.1027), O at (0.0346, 0.5173, 0.1359), O at (0.1712, 0.3423, 0.4038) and O at (0.3333, 0.6667, 0.8812).

Its total energy is -6.983 eV per atom. The total moment is 0.01 μB per cell.

B12W: relaxed, PBE-GGA.

The structure belongs to space group Fm-3m (No. 225); the cell edges are 7.3364, 7.3364 and 7.3364 Å and the angles 90.00°, 90.00° and 90.00°. The asymmetric unit holds B at (0.0000, 0.1703, 0.1703) and W at (0.0000, 0.0000, 0.5000).

Its total energy is -6.957 eV per atom. The total moment is 0.00 μB per cell.

Y5Mg5Al12Fe4Si6: relaxed, PBE-GGA.

The structure belongs to space group P4/mmm (No. 123); the cell edges are 11.9112, 11.9112 and 3.9986 Å and the angles 90.00°, 90.00° and 90.00°. The asymmetric unit holds Y at (0.0000, 0.0000, 0.0000), Y at (0.2517, 0.5000, 0.0000), Mg at (0.2021, 0.2021, 0.0000), Mg at (0.5000, 0.5000, 0.5000), Al at (0.1122, 0.3728, 0.5000), Al at (0.3315, 0.3315, 0.5000), Fe at (0.0000, 0.3060, 0.0000), Si at (0.0000, 0.1892, 0.5000) and Si at (0.0000, 0.5000, 0.0000).

Its total energy is -5.118 eV per atom. The total moment is 0.00 μB per cell.

Mn3Mo3C: relaxed, PBE-GGA.

The structure belongs to space group Fd-3m (No. 227, origin choice 2); the cell edges are 11.1238, 11.1238 and 11.1238 Å and the angles 90.00°, 90.00° and 90.00°. The asymmetric unit holds Mn at (0.0000, 0.0000, 0.0000), Mn at (0.0467, 0.0467, 0.2033), Mo at (0.0727, 0.3750, 0.8750) and C at (0.0000, 0.0000, 0.5000).

Its total energy is -9.976 eV per atom.

CdP2O6: relaxed, PBE-GGA.

The structure belongs to space group C2/c (No. 15); the cell edges are 12.5667, 8.7816 and 10.6018 Å and the angles 90.00°, 119.39° and 90.00°. The asymmetric unit holds Cd at (0.0000, 0.0346, 0.2500), Cd at (0.2500, 0.2500, 0.5000), P at (0.0097, 0.2705, 0.9791), P at (0.1881, 0.4992, 0.1906), O at (0.0418, 0.2406, 0.4198), O at (0.0480, 0.1399, 0.9220), O at (0.0859, 0.3720, 0.6566), O at (0.1243, 0.3846, 0.0549), O at (0.2085, 0.0724, 0.3231) and O at (0.2175, 0.4262, 0.3297).

Its total energy is -6.585 eV per atom.

Cs3B12H12Cl: relaxed, PBE-GGA.

The structure belongs to space group R-3m (No. 166, hexagonal axes); the cell edges are 10.5170, 10.5170 and 11.9957 Å and the angles 90.00°, 90.00° and 120.00°. The asymmetric unit holds Cs at (0.0000, 0.5000, 0.0000), B at (0.0563, 0.1127, 0.8878), B at (0.0912, 0.1825, 0.0266), H at (0.0211, 0.5105, 0.7130), H at (0.0967, 0.1935, 0.8086) and Cl at (0.0000, 0.0000, 0.5000).

Its total energy is -4.977 eV per atom. The total moment is 0.00 μB per cell.

Looking at E_form for the records above, in order, we have -2968 206 -363 -83 -2439 -520 meV per atom.